Record 1
{
  "formula": "Ti3Zn2O8",
  "functional": "GGA-PBE",
  "state": "relaxed",
  "lattice_angstrom": [[-5.360, 2.413, 1.406], [-2.744, -1.422, 5.194], [0.664, 3.716, 3.304]],
  "species": ["Ti", "Ti", "Ti", "Zn", "Zn", "O", "O", "O", "O", "O", "O", "O", "O"],
  "frac_coords": [[0.000, 0.000, 0.500], [0.733, 0.267, 0.000], [0.267, 0.733, 0.000], [0.715, 0.715, 0.348], [0.285, 0.285, 0.652], [0.395, 0.395, 0.927], [0.605, 0.605, 0.073], [0.892, 0.892, 0.922], [0.108, 0.108, 0.078], [0.341, 0.887, 0.590], [0.887, 0.341, 0.590], [0.113, 0.659, 0.410], [0.659, 0.113, 0.410]],
  "vol_a3_per_atom": 11.2,
  "de_polymorph_mev_per_atom": 83,
  "e_tot_ev_per_atom": -7.53
}

=====

Record 2
{
  "formula": "TiZnO3",
  "functional": "GGA-PBE",
  "state": "relaxed",
  "lattice_angstrom": [[0.331, 3.396, -4.336], [-2.951, -0.552, -4.629], [-4.008, 3.449, -1.577]],
  "species": ["Ti", "Ti", "Zn", "Zn", "O", "O", "O", "O", "O", "O"],
  "frac_coords": [[0.499, 0.499, 0.499], [0.999, 0.999, 0.999], [0.220, 0.220, 0.220], [0.720, 0.720, 0.720], [0.779, 0.138, 0.394], [0.138, 0.394, 0.779], [0.394, 0.779, 0.138], [0.894, 0.638, 0.279], [0.638, 0.279, 0.894], [0.279, 0.894, 0.638]],
  "vol_a3_per_atom": 10.6,
  "e_tot_ev_per_atom": -7.15
}

=====

Record 3
{
  "formula": "TiZnO3",
  "functional": "GGA-PBE",
  "state": "relaxed",
  "lattice_angstrom": [[5.146, 0.000, 0.000], [0.000, 5.284, 0.000], [0.000, 0.000, 7.570]],
  "species": ["Ti", "Ti", "Ti", "Ti", "Zn", "Zn", "Zn", "Zn", "O", "O", "O", "O", "O", "O", "O", "O", "O", "O", "O", "O"],
  "frac_coords": [[0.500, 0.500, 0.000], [0.000, 0.000, 0.000], [0.000, 0.000, 0.500], [0.500, 0.500, 0.500], [0.996, 0.538, 0.250], [0.496, 0.962, 0.750], [0.504, 0.038, 0.250], [0.004, 0.462, 0.750], [0.880, 0.054, 0.750], [0.380, 0.446, 0.250], [0.620, 0.554, 0.750], [0.120, 0.946, 0.250], [0.682, 0.814, 0.436], [0.182, 0.686, 0.564], [0.818, 0.314, 0.064], [0.318, 0.186, 0.936], [0.682, 0.814, 0.064], [0.182, 0.686, 0.936], [0.318, 0.186, 0.564], [0.818, 0.314, 0.436]],
  "vol_a3_per_atom": 10.3,
  "e_tot_ev_per_atom": -7.10
}